Record 1
First-principles (PBE) data for crystalline Sr4RhO6 at its relaxed geometry, as listed in the Materials Project database.

Output
* formation energy from the elements: -2.6427 eV per atom
* energy: -412.5 eV/cell

Cell lengths 9.8264, 9.8264, 11.9527 Å; angles 90.00, 90.00, 120.00 degrees
Space group R-3c (No. 167, hexagonal axes)
One atom of each set of equivalent atoms:
1 Sr 0.0000 0.0000 0.2500 x6
2 Sr 0.0000 0.3670 0.2500 x18
3 Rh 0.0000 0.0000 0.0000 x6
4 O 0.0285 0.1856 0.4002 x36



Record 2
First-principles (PBE) data for crystalline CuRh2O4 at its relaxed geometry, as listed in the Materials Project database.

Output
* formation energy from the elements: -1.0482 eV per atom
* spin magnetization: 3.99 Bohr magnetons per cell
* energy: -172.8 eV/cell

Cell lengths 6.190, 6.190, 8.360 Å; angles 90.00, 90.00, 90.00 degrees
Space group I4_1/amd (No. 141, origin choice 2)
One atom of each set of equivalent atoms:
1 Cu 0.000 0.250 0.375 x4
2 Rh 0.000 0.000 0.000 x8
3 O 0.000 0.029 0.753 x16



Record 3
First-principles (PBE) data for crystalline Cr12P7 at its relaxed geometry, as listed in the Materials Project database.

Output
* formation energy from the elements: -0.3997 eV per atom
* energy: -161.3 eV/cell

Cell lengths 9.0182, 9.0182, 3.2151 Å; angles 90.00, 90.00, 120.00 degrees
Space group P-6 (No. 174)
One atom of each set of equivalent atoms:
1 Cr 0.0157 0.2645 0.0000 x3
2 Cr 0.1320 0.6241 0.0000 x3
3 Cr 0.2227 0.2062 0.5000 x3
4 Cr 0.5093 0.1403 0.5000 x3
5 P 0.0000 0.0000 0.0000 x1
6 P 0.1691 0.4575 0.5000 x3
7 P 0.4488 0.2890 0.0000 x3



Record 4
First-principles (PBE) data for crystalline Na3Zr3ScP6O24 at its relaxed geometry, as listed in the Materials Project database.

Output
* formation energy from the elements: -3.1292 eV per atom
* spin magnetization: 0.00 Bohr magnetons per cell
* energy: -859.4 eV/cell

Cell lengths 9.008, 9.042, 23.427 Å; angles 89.97, 89.99, 60.14 degrees
Space group P1 (No. 1)
One atom of each set of equivalent atoms:
1 Na 0.000 0.000 0.000 x1
2 Na 0.000 0.007 0.497 x1
3 Na 0.303 0.670 0.582 x1
4 Na 0.333 0.333 0.666 x1
5 Na 0.333 0.341 0.168 x1
6 Na 0.659 0.681 0.833 x1
7 Na 0.666 0.681 0.332 x1
8 Na 0.699 0.337 0.415 x1
9 Na 0.970 0.337 0.916 x1
10 Zr 0.331 0.341 0.314 x1
11 Zr 0.334 0.341 0.021 x1
12 Zr 0.335 0.341 0.813 x1
13 Zr 0.661 0.680 0.982 x1
14 Zr 0.667 0.673 0.188 x1
15 Zr 0.668 0.674 0.687 x1
16 Zr 0.668 0.680 0.480 x1
17 Zr 0.994 0.014 0.649 x1
18 Zr 0.999 0.008 0.149 x1
19 Sc 0.001 0.000 0.852 x1
20 Sc 0.006 0.000 0.351 x1
21 Sc 0.332 0.335 0.518 x1
22 P 0.000 0.718 0.251 x1
23 P 0.043 0.337 0.417 x1
24 P 0.043 0.634 0.917 x1
25 P 0.289 0.718 0.750 x1
26 P 0.290 0.007 0.251 x1
27 P 0.329 0.633 0.419 x1
28 P 0.332 0.050 0.917 x1
29 P 0.374 0.675 0.084 x1
30 P 0.376 0.968 0.584 x1
31 P 0.624 0.052 0.417 x1
32 P 0.627 0.338 0.917 x1
33 P 0.665 0.383 0.583 x1
34 P 0.667 0.965 0.084 x1
35 P 0.709 0.007 0.752 x1
36 P 0.710 0.297 0.252 x1
37 P 0.957 0.383 0.083 x1
38 P 0.961 0.672 0.584 x1
39 P 0.999 0.298 0.752 x1
40 O 0.014 0.183 0.411 x1
41 O 0.023 0.812 0.911 x1
42 O 0.025 0.186 0.698 x1
43 O 0.027 0.802 0.197 x1
44 O 0.126 0.368 0.364 x1
45 O 0.126 0.516 0.864 x1
46 O 0.137 0.364 0.077 x1
47 O 0.142 0.516 0.578 x1
48 O 0.152 0.314 0.471 x1
49 O 0.154 0.544 0.971 x1
50 O 0.161 0.317 0.757 x1
51 O 0.161 0.537 0.257 x1
52 O 0.167 0.038 0.911 x1
53 O 0.173 0.812 0.411 x1
54 O 0.179 0.034 0.197 x1
55 O 0.182 0.798 0.695 x1
56 O 0.195 0.836 0.090 x1
57 O 0.198 0.976 0.591 x1
58 O 0.205 0.829 0.803 x1
59 O 0.208 0.979 0.304 x1
60 O 0.303 0.165 0.970 x1
61 O 0.307 0.550 0.474 x1
62 O 0.309 0.537 0.757 x1
63 O 0.310 0.169 0.257 x1
64 O 0.356 0.145 0.578 x1
65 O 0.356 0.513 0.077 x1
66 O 0.360 0.136 0.863 x1
67 O 0.364 0.514 0.366 x1
68 O 0.459 0.849 0.531 x1
69 O 0.460 0.701 0.030 x1
70 O 0.471 0.696 0.743 x1
71 O 0.471 0.847 0.243 x1
72 O 0.487 0.647 0.137 x1
73 O 0.488 0.878 0.637 x1
74 O 0.493 0.870 0.923 x1
75 O 0.499 0.643 0.424 x1
76 O 0.500 0.371 0.577 x1
77 O 0.505 0.144 0.077 x1
78 O 0.511 0.135 0.363 x1
79 O 0.512 0.368 0.864 x1
80 O 0.528 0.169 0.757 x1
81 O 0.528 0.318 0.257 x1
82 O 0.539 0.315 0.970 x1
83 O 0.541 0.164 0.470 x1
84 O 0.638 0.499 0.636 x1
85 O 0.639 0.880 0.137 x1
86 O 0.643 0.871 0.424 x1
87 O 0.648 0.500 0.924 x1
88 O 0.689 0.847 0.744 x1
89 O 0.690 0.478 0.243 x1
90 O 0.693 0.465 0.528 x1
91 O 0.693 0.854 0.030 x1
92 O 0.793 0.034 0.697 x1
93 O 0.796 0.185 0.198 x1
94 O 0.802 0.037 0.410 x1
95 O 0.809 0.183 0.911 x1
96 O 0.816 0.219 0.306 x1
97 O 0.820 0.980 0.804 x1
98 O 0.827 0.204 0.590 x1
99 O 0.828 0.984 0.090 x1
100 O 0.839 0.478 0.743 x1
101 O 0.839 0.697 0.243 x1
102 O 0.846 0.702 0.531 x1
103 O 0.849 0.465 0.028 x1
104 O 0.858 0.500 0.424 x1
105 O 0.865 0.643 0.924 x1
106 O 0.870 0.496 0.136 x1
107 O 0.872 0.648 0.637 x1
108 O 0.972 0.219 0.807 x1
109 O 0.972 0.828 0.304 x1
110 O 0.975 0.203 0.090 x1
111 O 0.982 0.833 0.591 x1



Record 5
First-principles (PBE) data for crystalline Ba3Na3C5O15 at its relaxed geometry, as listed in the Materials Project database.

Output
* formation energy from the elements: -2.3751 eV per atom
* energy: -363.1 eV/cell

Cell lengths 11.0446, 11.0446, 6.8912 Å; angles 90.00, 90.00, 120.00 degrees
Space group P6_3mc (No. 186)
One atom of each set of equivalent atoms:
1 Ba 0.1585 0.3170 0.0000 x6
2 Na 0.0500 0.5250 0.6844 x6
3 C 0.0000 0.0000 0.1731 x2
4 C 0.2055 0.4110 0.4652 x6
5 C 0.3333 0.6667 0.0071 x2
6 O 0.0678 0.1357 0.6704 x6
7 O 0.0916 0.3877 0.3767 x12
8 O 0.1976 0.5988 0.0072 x6
9 O 0.2285 0.4570 0.6411 x6



Record 6
First-principles (PBE) data for crystalline Mg6ZnCO8 at its relaxed geometry, as listed in the Materials Project database.

Output
* E above lowest polymorph: 0.011 eV/atom
* formation energy from the elements: -2.2415 eV per atom
* spin magnetization: 0.00 Bohr magnetons per cell
* energy: -90.0 eV/cell

Cell lengths 4.228, 4.228, 8.522 Å; angles 90.00, 90.00, 90.00 degrees
Space group P4/mmm (No. 123)
One atom of each set of equivalent atoms:
1 Mg 0.000 0.000 0.000 x1
2 Mg 0.000 0.500 0.254 x4
3 Mg 0.500 0.500 0.000 x1
4 Zn 0.000 0.000 0.500 x1
5 C 0.500 0.500 0.500 x1
6 O 0.000 0.000 0.248 x2
7 O 0.000 0.500 0.000 x2
8 O 0.000 0.500 0.500 x2
9 O 0.500 0.500 0.250 x2



Record 7
First-principles (PBE) data for crystalline Tl5Re6S8Cl7 at its relaxed geometry, as listed in the Materials Project database.

Output
* formation energy from the elements: -1.0996 eV per atom
* spin magnetization: 0.06 Bohr magnetons per cell
* energy: -916.7 eV/cell

Cell lengths 9.5903, 9.5903, 52.3262 Å; angles 90.00, 90.00, 120.00 degrees
Space group R3c (No. 161, hexagonal axes)
One atom of each set of equivalent atoms:
1 Tl 0.0000 0.0000 0.0000 x6
2 Tl 0.0000 0.0000 0.1862 x6
3 Tl 0.0334 0.3662 0.2586 x18
4 Re 0.0316 0.1712 0.3628 x18
5 Re 0.1710 0.0312 0.8218 x18
6 S 0.0000 0.0000 0.2855 x6
7 S 0.0000 0.0000 0.3992 x6
8 S 0.0161 0.4082 0.9899 x18
9 S 0.0754 0.3493 0.5281 x18
10 Cl 0.0000 0.0000 0.0787 x6
11 Cl 0.0108 0.2665 0.4614 x18
12 Cl 0.0835 0.4018 0.3900 x18



Record 8
First-principles (PBE) data for crystalline MgMn4ZnS8 at its relaxed geometry, as listed in the Materials Project database.

Output
* E above lowest polymorph: 0.000 eV/atom
* formation energy from the elements: -0.9500 eV per atom
* spin magnetization: 31.87 Bohr magnetons per cell
* energy: -163.8 eV/cell

Cell lengths 12.549, 7.211, 7.219 Å; angles 90.00, 125.03, 90.00 degrees
Space group Cm (No. 8)
One atom of each set of equivalent atoms:
1 Mg 0.000 0.000 0.000 x2
2 Mn 0.124 0.250 0.622 x4
3 Mn 0.373 0.000 0.118 x2
4 Mn 0.374 0.000 0.621 x2
5 Zn 0.249 0.500 0.247 x2
6 S 0.113 0.500 0.378 x2
7 S 0.115 0.500 0.844 x2
8 S 0.136 0.000 0.409 x2
9 S 0.136 0.000 0.860 x2
10 S 0.362 0.228 0.859 x4
11 S 0.383 0.231 0.379 x4



Record 9
First-principles (PBE) data for crystalline NaSn2P3O12 at its relaxed geometry, as listed in the Materials Project database.

Output
* E above lowest polymorph: 0.000 eV/atom
* formation energy from the elements: -2.5306 eV per atom
* energy: -733.6 eV/cell

Cell lengths 8.6844, 8.6844, 22.7173 Å; angles 90.00, 90.00, 120.00 degrees
Space group R-3 (No. 148, hexagonal axes)
One atom of each set of equivalent atoms:
1 Na 0.0000 0.0000 0.0000 x3
2 Na 0.0000 0.0000 0.5000 x3
3 Sn 0.0000 0.0000 0.1457 x6
4 Sn 0.0000 0.0000 0.3528 x6
5 P 0.0010 0.7081 0.7499 x18
6 O 0.0067 0.2029 0.1926 x18
7 O 0.0087 0.8240 0.0862 x18
8 O 0.0462 0.8285 0.6953 x18
9 O 0.0526 0.8497 0.4117 x18



Record 10
First-principles (PBE) data for crystalline TiCr2 at its relaxed geometry, as listed in the Materials Project database.

Output
* E above lowest polymorph: 0.020 eV/atom
* formation energy from the elements: -0.0856 eV per atom
* energy: -109.8 eV/cell

Cell lengths 4.8768, 4.8768, 7.8679 Å; angles 90.00, 90.00, 120.00 degrees
Space group P6_3/mmc (No. 194)
One atom of each set of equivalent atoms:
1 Ti 0.3333 0.6667 0.0605 x4
2 Cr 0.0000 0.0000 0.0000 x2
3 Cr 0.1702 0.3404 0.7500 x6



Among the records above, which one has the lowest formation energy from the elements? Na3Zr3ScP6O24